VASP calculation (r2SCAN) on an optimized crystal structure of In.

a b c (Å): 3.261 3.261 3.261
angles (deg): 109.47 109.47 109.47
Element x y z (fractional)
In  0.000  0.000  0.000

## Properties
Calculated total energy   -22.6 eV per cell
Space group   Im-3m, No. 229
Offset from the most stable computed form   0.03 eV/f.u.
Formation energy from the elements   0.0278 eV/atom